{"formula": "MoO3", "functional": "GGA+U", "state": "relaxed", "cell": [[5.2927, 0.0000, 0.0000], [0.0000, 5.3893, 0.0000], [0.0000, 0.0000, 7.5484]], "species": ["O", "O", "O", "O", "O", "O", "O", "O", "O", "O", "O", "O", "Mo", "Mo", "Mo", "Mo"], "frac_coords": [[0.9284, 0.5088, 0.7500], [0.5716, 0.0088, 0.7500], [0.2846, 0.7159, 0.9637], [0.0716, 0.4912, 0.2500], [0.2154, 0.2159, 0.9637], [0.4284, 0.9912, 0.2500], [0.7154, 0.2841, 0.4637], [0.2154, 0.2159, 0.5363], [0.7154, 0.2841, 0.0363], [0.7846, 0.7841, 0.0363], [0.7846, 0.7841, 0.4637], [0.2846, 0.7159, 0.5363], [0.0000, 0.5000, 0.0000], [0.5000, 0.0000, 0.5000], [0.5000, 0.0000, 0.0000], [0.0000, 0.5000, 0.5000]], "sg": "Pnma", "e_tot_ev_per_atom": -6.97}